# 1
Density functional theory data (PBE-GGA) for a geometry-optimized CsMg6Si structure.

a = 8.4995 Å, b = 8.4995 Å, c = 4.2444 Å
α = 90.00°, β = 90.00°, γ = 126.80°
Sites, in units of the cell vectors:
Cs  0.3102  0.6898  0.5000
Mg  0.8266  0.1734  0.5000
Mg  0.8785  0.6887  0.5000
Mg  0.3113  0.1215  0.5000
Mg  0.7607  0.8528  0.0000
Mg  0.1472  0.2393  0.0000
Mg  0.6563  0.3437  0.0000
Si  0.1093  0.8907  0.0000

Values from the calculation:
Space-group type = Amm2
Density = 2.1 g/cm3
Crystal system = orthorhombic
DFT formation energy = 268 meV/atom
Total energy after the MP2020 corrections = -1.722 eV/atom
Polymorph energy (0 for the lowest one) = 87 meV/atom
Total moment = 0.0 μB/f.u.
V = 30.69 Å³ per atom
E_tot = -1.7307 eV/atom

***

# 2
Density functional theory data (PBE-GGA) for a geometry-optimized CsMg6Si structure.

a = 9.6442 Å, b = 9.6442 Å, c = 4.8342 Å
α = 90.00°, β = 90.00°, γ = 142.57°
Sites, in units of the cell vectors:
Mg  0.1993  0.2918  0.0000
Mg  0.3156  0.1887  0.5000
Mg  0.8113  0.6844  0.5000
Mg  0.1153  0.8847  0.0000
Mg  0.6140  0.3860  0.0000
Mg  0.7082  0.8007  0.0000
Si  0.9410  0.0590  0.5000
Cs  0.2962  0.7038  0.5000

Values from the calculation:
Space-group type = Amm2
Density = 1.9 g/cm3
Crystal system = orthorhombic
DFT formation energy = 181 meV/atom
Total energy after the MP2020 corrections = -1.809 eV/atom
Polymorph energy (0 for the lowest one) = 0 meV/atom
Total moment = 0.0 μB/f.u.
V = 34.16 Å³ per atom
E_tot = -1.8181 eV/atom

***

# 3
Density functional theory data (PBE-GGA) for a geometry-optimized CsMg6Sn structure.

a = 5.1635 Å, b = 7.8980 Å, c = 11.2810 Å
α = 90.00°, β = 90.00°, γ = 90.00°
Sites, in units of the cell vectors:
Mg  0.0000  0.1953  0.9019
Mg  0.5000  0.7035  0.6095
Mg  0.0000  0.6953  0.4019
Mg  0.0000  0.5000  0.1355
Mg  0.5000  0.2965  0.6095
Mg  0.5000  0.7965  0.1095
Mg  0.0000  0.3047  0.4019
Mg  0.5000  0.2035  0.1095
Mg  0.0000  0.0000  0.1539
Mg  0.0000  0.0000  0.6355
Mg  0.0000  0.8047  0.9019
Mg  0.0000  0.5000  0.6539
Cs  0.5000  0.5000  0.8878
Cs  0.5000  0.0000  0.3878
Sn  0.5000  0.0000  0.8001
Sn  0.5000  0.5000  0.3001

Values from the calculation:
Density = 2.9 g/cm3
DFT formation energy = 187 meV/atom
Polymorph energy (0 for the lowest one) = 0 meV/atom
Total moment = 0.0 μB/f.u.
V = 28.75 Å³ per atom
E_tot = -1.6259 eV/atom

***

# 4
Density functional theory data (PBE-GGA) for a geometry-optimized CsMg6Sn structure.

a = 4.9818 Å, b = 7.4213 Å, c = 12.8761 Å
α = 90.00°, β = 90.00°, γ = 90.00°
Sites, in units of the cell vectors:
Mg  0.5000  0.2408  0.9180
Mg  0.5000  0.2592  0.4180
Mg  0.0000  0.8011  0.0680
Mg  0.0000  0.5000  0.8294
Mg  0.5000  0.7592  0.9180
Mg  0.0000  0.1989  0.0680
Mg  0.0000  0.0000  0.3294
Mg  0.0000  0.6989  0.5680
Mg  0.5000  0.0000  0.1650
Mg  0.5000  0.5000  0.6650
Mg  0.5000  0.7408  0.4180
Mg  0.0000  0.3011  0.5680
Sn  0.0000  0.5000  0.3645
Sn  0.0000  0.0000  0.8645
Cs  0.5000  0.5000  0.1689
Cs  0.5000  0.0000  0.6689

Values from the calculation:
Density = 2.8 g/cm3
DFT formation energy = 216 meV/atom
Polymorph energy (0 for the lowest one) = 29 meV/atom
Total moment = 0.0 μB/f.u.
V = 29.75 Å³ per atom
E_tot = -1.5971 eV/atom

***

# 5
Density functional theory data (PBE-GGA) for a geometry-optimized CsSrMg14 structure.

a = 6.7344 Å, b = 6.6620 Å, c = 11.0177 Å
α = 90.00°, β = 90.00°, γ = 119.65°
Sites, in units of the cell vectors:
Cs  0.1674  0.3337  0.1250
Mg  0.8247  0.6624  0.3807
Mg  0.3440  0.6771  0.4006
Mg  0.6700  0.3352  0.6250
Mg  0.1606  0.8303  0.6250
Mg  0.3440  0.6771  0.8494
Mg  0.8247  0.6624  0.8693
Mg  0.3440  0.1669  0.8494
Mg  0.6682  0.3359  0.1250
Mg  0.8160  0.1580  0.3896
Mg  0.6682  0.8323  0.1250
Mg  0.3440  0.1669  0.4006
Mg  0.8160  0.1580  0.8604
Mg  0.1622  0.3311  0.6250
Mg  0.6700  0.8347  0.6250
Sr  0.1759  0.8380  0.1250

Values from the calculation:
Space-group type = Amm2
Density = 2.2 g/cm3
Crystal system = orthorhombic
DFT formation energy = 174 meV/atom
Polymorph energy (0 for the lowest one) = 0 meV/atom
Total moment = 0.0 μB/f.u.
V = 26.85 Å³ per atom
E_tot = -1.3879 eV/atom

***

# 6
Density functional theory data (PBE-GGA) for a geometry-optimized CsSrMg14 structure.

a = 6.9211 Å, b = 6.9211 Å, c = 10.6425 Å
α = 90.00°, β = 90.00°, γ = 120.00°
Sites, in units of the cell vectors:
Mg  0.1731  0.8365  0.1250
Mg  0.3485  0.1515  0.3812
Mg  0.6620  0.3240  0.6250
Mg  0.8333  0.6667  0.8754
Mg  0.3485  0.6971  0.8688
Mg  0.8029  0.1515  0.3812
Mg  0.6620  0.8380  0.6250
Mg  0.3485  0.1515  0.8688
Mg  0.3485  0.6971  0.3812
Mg  0.6635  0.8365  0.1250
Mg  0.8333  0.6667  0.3746
Mg  0.1760  0.8380  0.6250
Mg  0.8029  0.1515  0.8688
Mg  0.6635  0.3269  0.1250
Sr  0.1667  0.3333  0.6250
Cs  0.1667  0.3333  0.1250

Values from the calculation:
Space-group type = P-6m2
Density = 2.1 g/cm3
Crystal system = hexagonal
DFT formation energy = 176 meV/atom
Polymorph energy (0 for the lowest one) = 2 meV/atom
Total moment = 0.0 μB/f.u.
V = 27.59 Å³ per atom
E_tot = -1.3858 eV/atom